# 1
Material: Li3MnFeCoP3O12
Method: DFT, GGA+U
State: relaxed

```
Li3MnFeCoP3O12
1.0
10.4594 0.0000 0.0000
0.0000 6.0916 0.0000
-0.0088 0.0000 14.2924
Li Mn Fe Co P O
12 4 4 4 12 48
Direct
0.0000 0.2492 0.0000
0.0003 0.2499 0.3325
0.0003 0.2502 0.6662
0.0003 0.7501 0.3325
0.0003 0.7498 0.6662
0.0000 0.7508 0.0000
0.4975 0.2497 0.1660
0.4975 0.7503 0.1660
0.4983 0.2503 0.4998
0.4983 0.2499 0.8331
0.4983 0.7497 0.4998
0.4983 0.7501 0.8331
0.7180 0.0000 0.3398
0.7178 0.0000 0.6733
0.7804 0.5000 0.1732
0.7797 0.5000 0.8405
0.2187 0.0000 0.4913
0.2189 0.0000 0.8251
0.7176 0.0000 0.0077
0.7802 0.5000 0.5073
0.2217 0.0000 0.1587
0.2772 0.5000 0.9930
0.2798 0.5000 0.3265
0.2808 0.5000 0.6599
0.0943 0.5000 0.4724
0.0954 0.5000 0.8055
0.0958 0.5000 0.1389
0.4023 0.0000 0.3051
0.4027 0.0000 0.6388
0.4040 0.0000 0.9728
0.5903 0.5000 0.0266
0.5910 0.5000 0.3616
0.5908 0.5000 0.6937
0.9063 0.0000 0.8621
0.9070 0.0000 0.5267
0.9078 0.0000 0.1936
0.0437 0.0000 0.5693
0.0441 0.0000 0.9025
0.0458 0.0000 0.2338
0.0973 0.5000 0.2465
0.0973 0.5000 0.5799
0.0975 0.5000 0.9132
0.1653 0.2980 0.4274
0.1653 0.7020 0.4274
0.1663 0.2979 0.7609
0.1663 0.7021 0.7609
0.1667 0.2967 0.0947
0.1667 0.7033 0.0947
0.3308 0.2035 0.2612
0.3308 0.7965 0.2612
0.3320 0.2041 0.5949
0.3320 0.7959 0.5949
0.3338 0.2041 0.9288
0.3338 0.7959 0.9288
0.4013 0.0000 0.0805
0.4024 0.0000 0.4127
0.4029 0.0000 0.7464
0.4525 0.5000 0.4016
0.4534 0.5000 0.0685
0.4528 0.5000 0.7342
0.5392 0.0000 0.2628
0.5397 0.0000 0.5961
0.5417 0.0000 0.9312
0.5932 0.5000 0.9193
0.5944 0.5000 0.2542
0.5952 0.5000 0.5862
0.6611 0.2983 0.7387
0.6611 0.7017 0.7387
0.6622 0.2972 0.0704
0.6617 0.2987 0.4067
0.6617 0.7013 0.4067
0.6622 0.7028 0.0704
0.8356 0.2016 0.9068
0.8357 0.2032 0.5704
0.8357 0.7968 0.5704
0.8356 0.7984 0.9068
0.8372 0.2016 0.2387
0.8372 0.7984 0.2387
0.9028 0.0000 0.0860
0.9034 0.0000 0.7545
0.9050 0.0000 0.4195
0.9567 0.5000 0.4309
0.9581 0.5000 0.7637
0.9586 0.5000 0.0965
```

Values from the calculation:
Calculated density   3.468 Mg/m³
Space group   Pm (6)
Formation enthalpy at 0 K   -2.4942 eV/atom
Energy above the lowest structure with this stoichiometry   0.000 eV/atom
Electronic total energy   -0.253 hartree per atom



# 2
Material: Li4Nb2Fe3Co3O16
Method: DFT, GGA+U
State: relaxed

```
Li4Nb2Fe3Co3O16
1.0
5.0872 -2.9445 0.0000
5.0872 2.9445 0.0000
-0.2145 0.0000 9.6052
Li Nb Fe Co O
4 2 3 3 16
Direct
0.0000 0.0000 0.0000
0.0017 0.0017 0.4967
0.3230 0.3230 0.4027
0.6564 0.6564 0.9093
0.3253 0.3253 0.0042
0.6568 0.6568 0.4988
0.1634 0.6514 0.7243
0.6514 0.1634 0.7243
0.8230 0.8230 0.2257
0.1652 0.1652 0.7203
0.3354 0.8250 0.2202
0.8250 0.3354 0.2202
0.0001 0.0001 0.3103
0.9999 0.9999 0.8121
0.0290 0.4653 0.8461
0.1607 0.1607 0.1096
0.1638 0.6643 0.0992
0.3240 0.3240 0.6128
0.3281 0.8342 0.6022
0.4653 0.0290 0.8461
0.4744 0.4744 0.8530
0.5020 0.9562 0.3454
0.5139 0.5139 0.3366
0.6560 0.6560 0.1174
0.6643 0.1638 0.0992
0.8293 0.8293 0.5901
0.8342 0.3281 0.6022
0.9562 0.5020 0.3454
```

Values from the calculation:
Calculated density   4.697 Mg/m³
Space group   Cm (8)
Formation enthalpy at 0 K   -2.0665 eV/atom
Electronic total energy   -0.248 hartree per atom



# 3
Material: Li10Fe3Co2Ni3O16
Method: DFT, GGA+U
State: relaxed

```
Li10Fe3Co2Ni3O16
1.0
5.8974 0.0000 0.0000
2.9299 5.1272 0.0000
0.0091 0.0542 9.6672
Li Fe Co Ni O
10 3 2 3 16
Direct
0.0000 0.0000 0.0000
0.9999 0.4292 0.0003
0.1239 0.1609 0.7684
0.1880 0.6185 0.5017
0.4059 0.0123 0.9979
0.4519 0.4859 0.2682
0.6028 0.2192 0.4998
0.6184 0.6135 0.4928
0.7916 0.8174 0.0705
0.7926 0.8276 0.5628
0.4498 0.9893 0.2682
0.6244 0.6529 0.7659
0.6255 0.1610 0.7681
0.1236 0.1550 0.5200
0.4588 0.4855 0.0220
0.1336 0.6524 0.7639
0.9632 0.9854 0.2650
0.9636 0.4761 0.2636
0.1319 0.1476 0.1476
0.1347 0.6459 0.1345
0.2838 0.8452 0.3991
0.2863 0.3008 0.3965
0.3130 0.3289 0.8948
0.3150 0.7890 0.8955
0.4552 0.9939 0.6451
0.4691 0.4856 0.6464
0.6121 0.6535 0.1415
0.6131 0.1596 0.1406
0.7722 0.3319 0.8962
0.7890 0.8150 0.3707
0.7903 0.8223 0.8764
0.8282 0.2982 0.3944
0.9547 0.0014 0.6398
0.9547 0.4863 0.6361
```

Values from the calculation:
Calculated density   4.470 Mg/m³
Space group   P1 (1)
Formation enthalpy at 0 K   -1.7001 eV/atom
Electronic total energy   -0.199 hartree per atom



# 4
Material: Li4FeCo2Ni3P6O24
Method: DFT, GGA+U
State: relaxed

```
Li4FeCo2Ni3P6O24
1.0
8.3809 0.0000 0.0000
3.8059 7.5484 0.0000
3.8625 2.4189 7.1822
Li Fe Co Ni P O
4 1 2 3 6 24
Direct
0.0000 0.0000 0.0000
0.1047 0.8813 0.5001
0.2129 0.3799 0.4098
0.6220 0.5928 0.7879
0.2082 0.5857 0.9966
0.3682 0.7408 0.1383
0.8484 0.2387 0.6446
0.0034 0.3817 0.7931
0.5010 0.8809 0.2890
0.7138 0.0931 0.5007
0.1061 0.1827 0.1954
0.3061 0.9849 0.6891
0.4110 0.4842 0.5929
0.6062 0.2827 0.0990
0.8026 0.7859 0.8952
0.9080 0.6917 0.3942
0.0399 0.2110 0.0411
0.1066 0.1408 0.7161
0.1091 0.6636 0.2370
0.1754 0.3425 0.1554
0.2528 0.4182 0.6210
0.2584 0.9850 0.2185
0.2873 0.8283 0.8899
0.3220 0.9225 0.5389
0.3691 0.5496 0.7548
0.4076 0.6525 0.4063
0.4516 0.4836 0.0741
0.4687 0.0449 0.6477
0.5409 0.1263 0.1316
0.6057 0.3341 0.5770
0.6081 0.8065 0.0489
0.6698 0.2484 0.2548
0.7458 0.7355 0.3331
0.7599 0.3041 0.8998
0.8104 0.9748 0.7317
0.8318 0.6300 0.8299
0.8940 0.8421 0.4558
0.9246 0.4909 0.5489
0.9574 0.1659 0.3936
0.9644 0.7432 0.9650
```

Values from the calculation:
Calculated density   3.462 Mg/m³
Space group   P1 (1)
Formation enthalpy at 0 K   -2.2117 eV/atom
Electronic total energy   -0.237 hartree per atom